The following is a DFT calculation (PBE with a Hubbard U) of crystalline NiTeO3 at its relaxed geometry.

Output
Its space-group type is Pnma. The value obtained for the formation energy is -1131 meV per atom. Its energy with MP2020 corrections is -5.885 eV/atom. The crystal system is orthorhombic.

Unit cell a=5.4866 b=5.6190 c=8.1549 alpha=90.00 beta=90.00 gamma=90.00
Closest atoms and distances in Å follow each position.
Atoms (fractional coordinates):
1 O 0.1632 0.6694 0.4207  1 Ni 2.01, 2 Te 2.16-2.18
2 Te 0.5000 0.5000 0.0000  6 O 2.16-2.28
3 O 0.8368 0.3306 0.5793  1 Ni 2.01, 2 Te 2.16-2.18
4 O 0.1632 0.6694 0.0793  1 Ni 2.01, 2 Te 2.16-2.18
5 O 0.6632 0.8306 0.5793  1 Ni 2.01, 2 Te 2.16-2.18
6 Te 0.5000 0.5000 0.5000  6 O 2.16-2.28
7 O 0.6632 0.8306 0.9207  1 Ni 2.01, 2 Te 2.16-2.18
8 O 0.3368 0.1694 0.0793  1 Ni 2.01, 2 Te 2.16-2.18
9 O 0.8511 0.1096 0.2500  2 Ni 2.05-2.17, 2 Te 2.28
10 O 0.3511 0.3904 0.7500  2 Ni 2.05-2.17, 2 Te 2.28
11 Ni 0.4942 0.0297 0.7500  4 O 2.01-2.17
12 Te 0.0000 0.0000 0.0000  6 O 2.16-2.28
13 Ni 0.5058 0.9703 0.2500  4 O 2.01-2.17
14 Ni 0.0058 0.5297 0.7500  4 O 2.01-2.17
15 Ni 0.9942 0.4703 0.2500  4 O 2.01-2.17
16 O 0.3368 0.1694 0.4207  1 Ni 2.01, 2 Te 2.16-2.18
17 O 0.1489 0.8904 0.7500  2 Ni 2.05-2.17, 2 Te 2.28
18 O 0.8368 0.3306 0.9207  1 Ni 2.01, 2 Te 2.16-2.18
19 Te 0.0000 0.0000 0.5000  6 O 2.16-2.28
20 O 0.6489 0.6096 0.2500  2 Ni 2.05-2.17, 2 Te 2.28